VASP calculation (PBE) on crystalline EuB2S4 at its relaxed geometry.

a = 14.152 Å, b = 6.122 Å, c = 6.458 Å
α = 70.23°, β = 90.00°, γ = 90.00°
Element x y z (fractional)
S (0.992, 0.640, 0.265)
S (0.261, 0.494, 0.081)
Eu (0.603, 0.698, 0.192)
Eu (0.397, 0.302, 0.808)
B (0.916, 0.570, 0.534)
S (0.599, 0.333, 0.628)
Eu (0.103, 0.802, 0.808)
S (0.008, 0.360, 0.735)
S (0.696, 0.939, 0.472)
S (0.761, 0.006, 0.919)
B (0.728, 0.320, 0.732)
S (0.739, 0.506, 0.919)
S (0.239, 0.994, 0.081)
S (0.304, 0.061, 0.528)
Eu (0.897, 0.198, 0.192)
B (0.228, 0.180, 0.268)
B (0.272, 0.680, 0.268)
B (0.772, 0.820, 0.732)
S (0.804, 0.439, 0.472)
S (0.508, 0.140, 0.265)
B (0.084, 0.430, 0.466)
B (0.416, 0.930, 0.466)
S (0.196, 0.561, 0.528)
S (0.099, 0.167, 0.372)
S (0.401, 0.667, 0.372)
B (0.584, 0.070, 0.534)
S (0.492, 0.860, 0.735)
S (0.901, 0.833, 0.628)

Values from the calculation:
The energy with MP2020 corrections is -6.95 eV per atom. Its space group is P2_1/c, No. 14.

VASP calculation (PBE) on crystalline SmEuB12 at its relaxed geometry.

a = 5.852 Å, b = 5.852 Å, c = 5.852 Å
α = 60.00°, β = 60.00°, γ = 60.00°
Element x y z (fractional)
Sm (0.500, 0.500, 0.500)
B (0.400, 0.400, 0.100)
B (0.900, 0.900, 0.600)
B (0.100, 0.400, 0.400)
B (0.400, 0.100, 0.100)
Eu (0.000, 0.000, 0.000)
B (0.600, 0.600, 0.900)
B (0.600, 0.900, 0.600)
B (0.600, 0.900, 0.900)
B (0.900, 0.600, 0.900)
B (0.900, 0.600, 0.600)
B (0.100, 0.100, 0.400)
B (0.400, 0.100, 0.400)
B (0.100, 0.400, 0.100)

Values from the calculation:
Its space group is Fm-3m, No. 225.

VASP calculation (PBE) on crystalline B2F3 at its relaxed geometry.

a = 7.504 Å, b = 25.109 Å, c = 26.106 Å
α = 106.73°, β = 90.00°, γ = 90.00°
Element x y z (fractional)
F (0.480, 0.568, 0.797)
F (0.436, 0.885, 0.947)
B (0.171, 0.815, 0.092)
F (0.706, 0.082, 0.243)
F (0.703, 0.008, 0.467)
F (0.020, 0.731, 0.019)
F (0.832, 0.446, 0.763)
F (0.703, 0.554, 0.853)
B (0.462, 0.287, 0.641)
F (0.385, 0.233, 0.519)
F (0.551, 0.155, 0.839)
B (0.098, 0.357, 0.850)
B (0.365, 0.891, 0.849)
B (0.131, 0.530, 0.609)
F (0.475, 0.510, 0.593)
B (0.587, 0.083, 0.917)
B (0.416, 0.380, 0.906)
B (0.451, 0.810, 0.020)
F (0.535, 0.426, 0.324)
F (0.134, 0.024, 0.822)
F (0.646, 0.717, 0.072)
F (0.363, 0.200, 0.734)
B (0.378, 0.068, 0.695)
B (0.824, 0.314, 0.607)
F (0.866, 0.024, 0.322)
B (0.414, 0.441, 0.875)
F (0.086, 0.964, 0.330)
F (0.951, 0.590, 0.299)
F (0.066, 0.053, 0.541)
B (0.084, 0.020, 0.664)
B (0.413, 0.083, 0.417)
B (0.395, 0.662, 0.365)
F (0.894, 0.516, 0.153)
B (0.824, 0.686, 0.893)
F (0.637, 0.200, 0.234)
F (0.980, 0.269, 0.981)
F (0.294, 0.918, 0.757)
F (0.294, 0.082, 0.743)
B (0.907, 0.136, 0.956)
B (0.764, 0.693, 0.779)
F (0.449, 0.845, 0.161)
F (0.320, 0.891, 0.398)
F (0.288, 0.704, 0.851)
F (0.478, 0.763, 0.360)
B (0.224, 0.944, 0.867)
F (0.522, 0.763, 0.860)
F (0.286, 0.453, 0.000)
B (0.150, 0.858, 0.848)
B (0.093, 0.136, 0.456)
F (0.706, 0.918, 0.257)
F (0.142, 0.161, 0.861)
F (0.958, 0.361, 0.303)
B (0.148, 0.253, 0.444)
B (0.916, 0.980, 0.336)
B (0.025, 0.825, 0.145)
F (0.050, 0.837, 0.994)
B (0.412, 0.691, 0.607)
F (0.407, 0.355, 0.039)
B (0.850, 0.142, 0.152)
F (0.106, 0.484, 0.847)
F (0.884, 0.267, 0.709)
B (0.624, 0.403, 0.930)
B (0.902, 0.643, 0.150)
F (0.950, 0.837, 0.494)
B (0.542, 0.156, 0.207)
F (0.063, 0.347, 0.092)
B (0.791, 0.413, 0.462)
B (0.685, 0.851, 0.568)
B (0.491, 0.362, 0.086)
B (0.549, 0.190, 0.980)
F (0.525, 0.510, 0.093)
B (0.224, 0.056, 0.633)
B (0.491, 0.638, 0.414)
F (0.342, 0.311, 0.263)
F (0.475, 0.490, 0.907)
B (0.916, 0.020, 0.164)
F (0.354, 0.283, 0.928)
F (0.511, 0.031, 0.688)
B (0.098, 0.643, 0.650)
F (0.894, 0.484, 0.347)
F (0.934, 0.812, 0.689)
B (0.131, 0.470, 0.891)
B (0.776, 0.056, 0.133)
B (0.395, 0.338, 0.135)
B (0.744, 0.355, 0.686)
B (0.236, 0.693, 0.279)
F (0.564, 0.885, 0.447)
F (0.531, 0.723, 0.155)
F (0.870, 0.170, 0.117)
F (0.615, 0.767, 0.481)
B (0.509, 0.638, 0.914)
F (0.658, 0.421, 0.982)
B (0.509, 0.362, 0.586)
F (0.489, 0.031, 0.188)
F (0.371, 0.155, 0.219)
F (0.581, 0.925, 0.099)
F (0.849, 0.740, 0.909)
B (0.586, 0.441, 0.375)
F (0.858, 0.839, 0.139)
F (0.354, 0.717, 0.572)
F (0.658, 0.689, 0.737)
F (0.385, 0.767, 0.981)
F (0.980, 0.731, 0.519)
F (0.615, 0.233, 0.019)
B (0.256, 0.355, 0.186)
F (0.511, 0.969, 0.812)
F (0.342, 0.689, 0.237)
B (0.907, 0.864, 0.544)
F (0.033, 0.852, 0.809)
F (0.593, 0.645, 0.961)
F (0.531, 0.277, 0.345)
F (0.256, 0.292, 0.436)
F (0.020, 0.269, 0.481)
B (0.852, 0.747, 0.556)
F (0.297, 0.446, 0.147)
B (0.850, 0.858, 0.348)
F (0.066, 0.947, 0.959)
B (0.975, 0.175, 0.855)
B (0.588, 0.691, 0.107)
B (0.195, 0.032, 0.565)
F (0.870, 0.830, 0.383)
B (0.624, 0.597, 0.570)
B (0.378, 0.932, 0.805)
F (0.703, 0.992, 0.033)
F (0.627, 0.183, 0.480)
F (0.951, 0.410, 0.201)
B (0.084, 0.980, 0.836)
B (0.805, 0.032, 0.065)
B (0.315, 0.149, 0.432)
B (0.542, 0.844, 0.293)
B (0.869, 0.470, 0.391)
B (0.414, 0.559, 0.625)
F (0.762, 0.401, 0.897)
B (0.612, 0.410, 0.668)
F (0.342, 0.579, 0.018)
F (0.342, 0.421, 0.482)
F (0.130, 0.170, 0.617)
F (0.744, 0.292, 0.936)
F (0.934, 0.053, 0.041)
F (0.658, 0.381, 0.089)
F (0.945, 0.501, 0.436)
F (0.050, 0.163, 0.506)
B (0.256, 0.645, 0.314)
B (0.412, 0.309, 0.893)
F (0.658, 0.619, 0.411)
F (0.086, 0.036, 0.170)
B (0.635, 0.109, 0.151)
F (0.238, 0.599, 0.103)
B (0.682, 0.132, 0.861)
B (0.148, 0.747, 0.056)
F (0.945, 0.310, 0.362)
B (0.388, 0.590, 0.332)
F (0.241, 0.915, 0.170)
F (0.106, 0.516, 0.653)
F (0.945, 0.499, 0.064)
B (0.209, 0.413, 0.962)
B (0.549, 0.810, 0.520)
F (0.055, 0.690, 0.638)
F (0.363, 0.800, 0.766)
F (0.703, 0.446, 0.647)
F (0.083, 0.383, 0.975)
B (0.176, 0.314, 0.107)
F (0.914, 0.964, 0.830)
F (0.063, 0.653, 0.408)
F (0.849, 0.260, 0.591)
F (0.256, 0.708, 0.064)
F (0.937, 0.653, 0.908)
F (0.714, 0.453, 0.500)
B (0.228, 0.407, 0.892)
B (0.776, 0.944, 0.367)
F (0.520, 0.432, 0.203)
F (0.937, 0.347, 0.592)
F (0.049, 0.410, 0.701)
F (0.288, 0.296, 0.649)
F (0.934, 0.188, 0.811)
F (0.083, 0.617, 0.525)
B (0.852, 0.253, 0.944)
B (0.503, 0.112, 0.600)
F (0.712, 0.704, 0.351)
F (0.297, 0.554, 0.353)
B (0.176, 0.686, 0.393)
B (0.376, 0.597, 0.070)
F (0.917, 0.617, 0.025)
B (0.365, 0.109, 0.651)
B (0.605, 0.338, 0.635)
B (0.685, 0.149, 0.932)
F (0.151, 0.260, 0.091)
F (0.151, 0.740, 0.409)
B (0.605, 0.662, 0.865)
B (0.584, 0.620, 0.094)
F (0.066, 0.812, 0.189)
F (0.520, 0.568, 0.297)
F (0.934, 0.947, 0.459)
F (0.535, 0.574, 0.176)
F (0.627, 0.817, 0.020)
F (0.480, 0.432, 0.703)
F (0.997, 0.092, 0.430)
B (0.416, 0.620, 0.594)
F (0.130, 0.830, 0.883)
B (0.869, 0.530, 0.109)
F (0.914, 0.036, 0.670)
F (0.884, 0.733, 0.791)
F (0.759, 0.915, 0.670)
B (0.458, 0.156, 0.707)
F (0.669, 0.959, 0.571)
F (0.407, 0.645, 0.461)
F (0.373, 0.183, 0.980)
F (0.669, 0.041, 0.929)
B (0.315, 0.851, 0.068)
B (0.772, 0.407, 0.392)
F (0.680, 0.891, 0.898)
B (0.635, 0.891, 0.349)
F (0.958, 0.639, 0.197)
F (0.286, 0.547, 0.500)
F (0.373, 0.817, 0.520)
B (0.902, 0.357, 0.350)
F (0.331, 0.041, 0.429)
B (0.388, 0.410, 0.168)
B (0.497, 0.112, 0.100)
B (0.117, 0.409, 0.218)
F (0.744, 0.708, 0.564)
F (0.116, 0.267, 0.209)
B (0.376, 0.403, 0.430)
B (0.975, 0.825, 0.645)
B (0.497, 0.888, 0.400)
B (0.503, 0.888, 0.900)
B (0.586, 0.559, 0.125)
B (0.318, 0.132, 0.361)
B (0.587, 0.917, 0.583)
F (0.469, 0.277, 0.845)
F (0.168, 0.554, 0.237)
F (0.142, 0.839, 0.639)
B (0.588, 0.309, 0.393)
F (0.033, 0.148, 0.691)
F (0.419, 0.075, 0.901)
F (0.241, 0.085, 0.330)
B (0.458, 0.844, 0.793)
B (0.682, 0.868, 0.639)
B (0.462, 0.713, 0.859)
F (0.489, 0.969, 0.312)
F (0.646, 0.283, 0.428)
F (0.858, 0.161, 0.361)
B (0.622, 0.068, 0.195)
F (0.917, 0.383, 0.475)
F (0.629, 0.845, 0.781)
B (0.538, 0.713, 0.359)
F (0.465, 0.426, 0.824)
B (0.451, 0.190, 0.480)
B (0.883, 0.591, 0.782)
B (0.829, 0.185, 0.908)
F (0.637, 0.800, 0.266)
F (0.712, 0.296, 0.149)
F (0.478, 0.237, 0.140)
F (0.967, 0.852, 0.309)
F (0.967, 0.148, 0.191)
F (0.066, 0.188, 0.311)
F (0.134, 0.976, 0.678)
F (0.320, 0.109, 0.102)
F (0.762, 0.599, 0.603)
F (0.331, 0.959, 0.071)
F (0.465, 0.574, 0.676)
F (0.238, 0.401, 0.397)
F (0.658, 0.311, 0.763)
F (0.055, 0.499, 0.564)
F (0.629, 0.155, 0.719)
B (0.228, 0.593, 0.608)
F (0.116, 0.733, 0.291)
B (0.622, 0.932, 0.305)
B (0.612, 0.590, 0.832)
B (0.584, 0.380, 0.406)
F (0.950, 0.163, 0.006)
F (0.055, 0.501, 0.936)
F (0.551, 0.845, 0.661)
F (0.469, 0.723, 0.655)
B (0.209, 0.587, 0.538)
F (0.759, 0.085, 0.830)
B (0.805, 0.968, 0.435)
F (0.055, 0.310, 0.862)
B (0.117, 0.591, 0.282)
F (0.525, 0.490, 0.407)
B (0.829, 0.815, 0.592)
F (0.042, 0.639, 0.697)
F (0.593, 0.355, 0.539)
F (0.436, 0.115, 0.553)
B (0.764, 0.307, 0.721)
F (0.342, 0.619, 0.911)
B (0.883, 0.409, 0.718)
F (0.564, 0.115, 0.053)
F (0.049, 0.590, 0.799)
F (0.297, 0.008, 0.967)
F (0.297, 0.992, 0.533)
F (0.832, 0.554, 0.737)
F (0.866, 0.976, 0.178)
F (0.342, 0.381, 0.589)
F (0.522, 0.237, 0.640)
B (0.093, 0.864, 0.044)
F (0.003, 0.092, 0.930)
B (0.150, 0.142, 0.652)
F (0.449, 0.155, 0.339)
B (0.025, 0.175, 0.355)
B (0.171, 0.185, 0.408)
B (0.538, 0.287, 0.141)
B (0.791, 0.587, 0.038)
B (0.318, 0.868, 0.139)
F (0.371, 0.845, 0.281)
B (0.195, 0.968, 0.935)
F (0.714, 0.547, 0.000)
B (0.772, 0.593, 0.108)
F (0.997, 0.908, 0.070)
F (0.168, 0.446, 0.263)
F (0.042, 0.361, 0.803)
F (0.581, 0.075, 0.401)
B (0.413, 0.917, 0.083)
B (0.236, 0.307, 0.221)
F (0.419, 0.925, 0.599)
F (0.658, 0.579, 0.518)
B (0.744, 0.645, 0.814)
F (0.003, 0.908, 0.570)
F (0.680, 0.109, 0.602)
F (0.945, 0.690, 0.138)

Values from the calculation:
The energy with MP2020 corrections is -6.14 eV per atom. Its space group is P2/c, No. 13.

VASP calculation (PBE) on crystalline B17F27 at its relaxed geometry.

a = 7.418 Å, b = 13.379 Å, c = 13.770 Å
α = 69.57°, β = 79.58°, γ = 81.16°
Element x y z (fractional)
B (0.725, 0.792, 0.925)
F (0.539, 0.368, 0.479)
F (0.871, 0.911, 0.236)
F (0.260, 0.343, 0.792)
F (0.890, 0.344, 0.764)
F (0.633, 0.191, 0.505)
B (0.113, 0.159, 0.195)
F (0.061, 0.072, 0.555)
B (0.502, 0.198, 0.022)
F (0.838, 0.591, 0.573)
B (0.425, 0.303, 0.190)
B (0.228, 0.278, 0.156)
F (0.603, 0.982, 0.312)
B (0.483, 0.735, 0.469)
F (0.655, 0.907, 0.543)
B (0.106, 0.328, 0.512)
B (0.275, 0.208, 0.075)
F (0.129, 0.089, 0.764)
F (0.367, 0.809, 0.495)
B (0.498, 0.802, 0.978)
F (0.730, 0.485, 0.811)
F (0.559, 0.710, 0.712)
F (0.771, 0.560, 0.377)
F (0.461, 0.632, 0.521)
F (0.071, 0.837, 0.809)
F (0.110, 0.656, 0.236)
B (0.490, 0.838, 0.253)
F (0.015, 0.383, 0.996)
F (0.270, 0.515, 0.189)
B (0.282, 0.106, 0.694)
F (0.691, 0.157, 0.719)
F (0.927, 0.334, 0.549)
F (0.929, 0.163, 0.191)
B (0.955, 0.691, 0.759)
F (0.387, 0.886, 0.929)
B (0.718, 0.894, 0.306)
F (0.345, 0.093, 0.457)
F (0.229, 0.440, 0.623)
F (0.610, 0.415, 0.708)
F (0.049, 0.177, 0.961)
B (0.257, 0.586, 0.238)
B (0.772, 0.722, 0.844)
F (0.549, 0.876, 0.150)
B (0.517, 0.265, 0.531)
B (0.838, 0.870, 0.968)
B (0.819, 0.631, 0.975)
B (0.218, 0.118, 0.528)
F (0.920, 0.391, 0.208)
F (0.390, 0.585, 0.292)
B (0.365, 0.235, 0.657)
F (0.309, 0.843, 0.281)
F (0.201, 0.024, 0.061)
B (0.282, 0.346, 0.692)
B (0.752, 0.781, 0.428)
F (0.080, 0.609, 0.792)
F (0.073, 0.666, 0.451)
F (0.575, 0.269, 0.934)
B (0.743, 0.414, 0.762)
F (0.964, 0.739, 0.655)
F (0.300, 0.439, 0.973)
B (0.575, 0.697, 0.810)
F (0.939, 0.928, 0.445)
B (0.248, 0.219, 0.572)
F (0.740, 0.657, 0.208)
F (0.613, 0.114, 0.071)
F (0.036, 0.261, 0.345)
F (0.186, 0.072, 0.266)
F (0.814, 0.928, 0.734)
B (0.894, 0.672, 0.488)
B (0.510, 0.162, 0.747)
B (0.635, 0.765, 0.343)
F (0.700, 0.561, 0.027)
F (0.799, 0.976, 0.939)
B (0.181, 0.369, 0.025)
B (0.782, 0.882, 0.472)
F (0.426, 0.668, 0.881)
F (0.162, 0.409, 0.427)
F (0.985, 0.617, 0.004)
F (0.951, 0.823, 0.039)
F (0.425, 0.731, 0.066)
F (0.574, 0.332, 0.119)
B (0.045, 0.309, 0.241)
F (0.441, 0.290, 0.288)
B (0.162, 0.130, 0.032)
B (0.887, 0.841, 0.805)
F (0.451, 0.124, 0.850)
F (0.397, 0.018, 0.688)
B (0.718, 0.654, 0.308)

Values from the calculation:
The energy with MP2020 corrections is -6.15 eV per atom. Its space group is P-1, No. 2.

Number 1: final energy -6.66 eV/atom, energy of formation from the pure elements -1211 meV/atom. Number 2: final energy -7.27 eV/atom, energy of formation from the pure elements -476 meV/atom. Number 3: final energy -5.86 eV/atom, energy of formation from the pure elements -2320 meV/atom. Number 4: final energy -5.86 eV/atom, energy of formation from the pure elements -2393 meV/atom.